1.
This record from the Materials Project describes crystalline Mg7Ti at its relaxed geometry. The functional is PBE.

Cell and atoms, written as POSCAR:
```
Mg7Ti
1.0
3.1806 -5.5089 0.0000
3.1806 5.5089 0.0000
0.0000 0.0000 5.0464
Mg Ti
7 1
Direct
0.1680 0.3361 0.0000
0.1680 0.8320 0.0000
0.6639 0.8320 0.0000
0.9917 0.4958 0.5000
0.5042 0.4958 0.5000
0.5042 0.0083 0.5000
0.0000 0.0000 0.5000
0.6667 0.3333 0.0000
```

Results
- Raw total energy: -2.29 eV per atom
- Energy relative to the lowest polymorph listed for this composition: 0.0142 eV/atom
- V: 22.10 Å³ per atom

2.
This record from the Materials Project describes crystalline ZnCuAu2 at its relaxed geometry. The functional is PBE.

Cell and atoms, written as POSCAR:
```
ZnCuAu2
1.0
-2.2216 0.5839 -1.8733
-0.1480 -4.4566 -1.2136
-6.0436 -1.8787 6.5814
Zn Cu Au
2 2 4
Direct
0.0000 0.3086 0.8834
0.0000 0.6914 0.1166
0.0000 0.8146 0.6099
0.0000 0.1854 0.3901
0.5000 0.3138 0.6323
0.5000 0.6862 0.3677
0.5000 0.8112 0.8612
0.5000 0.1888 0.1388
```

Results
- Raw total energy: -3.11 eV per atom
- V: 15.63 Å³ per atom

3.
This record from the Materials Project describes crystalline K2CuBiF6 at its relaxed geometry. The functional is PBE.

Cell and atoms, written as POSCAR:
```
K2CuBiF6
1.0
-2.3835 4.5437 3.7062
-6.2641 0.8379 0.3490
-3.1089 -1.5403 5.2939
K Cu Bi F
2 1 1 6
Direct
0.2500 0.2500 0.2500
0.7500 0.7500 0.7500
0.5000 0.5000 0.5000
0.0000 0.0000 0.0000
0.2551 0.7449 0.2551
0.7449 0.7449 0.2551
0.7449 0.2551 0.7449
0.7449 0.2551 0.2551
0.2551 0.7449 0.7449
0.2551 0.2551 0.7449
```

Results
- Raw total energy: -4.39 eV per atom
- V: 17.93 Å³ per atom

4.
This record from the Materials Project describes crystalline TmSeClO3 at its relaxed geometry. The functional is PBE.

Cell and atoms, written as POSCAR:
```
TmSeClO3
1.0
6.9203 0.0000 0.0000
0.0000 7.2528 0.0000
0.0000 0.0000 8.7798
Tm Se Cl O
4 4 4 12
Direct
0.7500 0.3981 0.0392
0.7500 0.8981 0.4608
0.2500 0.6019 0.9608
0.2500 0.1019 0.5392
0.7500 0.2913 0.6338
0.7500 0.7913 0.8662
0.2500 0.7087 0.3662
0.2500 0.2087 0.1338
0.7500 0.0615 0.1834
0.2500 0.4385 0.6834
0.7500 0.5615 0.3166
0.2500 0.9385 0.8166
0.7500 0.2488 0.8242
0.5713 0.1397 0.5676
0.9287 0.1397 0.5676
0.2500 0.2512 0.3242
0.0713 0.3603 0.0676
0.4287 0.3603 0.0676
0.2500 0.7512 0.1758
0.9287 0.6397 0.9324
0.7500 0.7488 0.6758
0.4287 0.8603 0.4324
0.0713 0.8603 0.4324
0.5713 0.6397 0.9324
```

Results
- Raw total energy: -6.17 eV per atom
- V: 18.36 Å³ per atom

| no. | energy relative to the elements (eV per atom) | density (Mg/m³) | magnetic moment (μB/f.u.) |
| --- | --- | --- | --- |
| 1 | 0.10 | 2.0 | 1.496 |
| 2 | -0.13 | 13.9 | 0.000 |
| 3 | -2.50 | 4.3 | 0.000 |
| 4 | -2.40 | 5.0 | 0.001 |